No. 1
## TmNiC2 (r2SCAN)

Data for a relaxed TmNiC2 crystal.

Structure (POSCAR):
```
TmNiC2
1.0
-0.804 1.020 3.244
1.459 -3.138 1.348
2.774 2.468 -0.089
Tm C Ni
1 2 1
Direct
0.000 0.003 0.997
0.500 0.149 0.544
0.500 0.456 0.851
0.500 0.613 0.387
```

Calculated values
Formation energy from the elements   -1.84 eV/f.u.
Total DFT energy (no corrections)   -17.21 eV per atom
Magnetization   0.0 μB/f.u.

---

No. 2
## U2NiC3 (r2SCAN)

Data for a relaxed U2NiC3 crystal.

Structure (POSCAR):
```
U2NiC3
1.0
3.572 0.000 0.000
0.000 6.378 0.000
0.000 0.000 13.169
Ni U C
4 8 12
Direct
0.250 0.009 0.650
0.250 0.509 0.850
0.750 0.491 0.150
0.750 0.991 0.350
0.750 0.377 0.708
0.750 0.877 0.792
0.250 0.751 0.022
0.750 0.749 0.522
0.750 0.249 0.978
0.250 0.123 0.208
0.250 0.251 0.478
0.250 0.623 0.292
0.750 0.818 0.179
0.250 0.682 0.679
0.250 0.182 0.821
0.750 0.475 0.402
0.750 0.603 0.909
0.750 0.318 0.321
0.250 0.397 0.091
0.250 0.897 0.409
0.750 0.975 0.098
0.250 0.525 0.598
0.250 0.025 0.902
0.750 0.103 0.591
```

Calculated values
Formation energy from the elements   -1.60 eV/f.u.
Total DFT energy (no corrections)   -33.88 eV per atom
Magnetization   2.0 μB/f.u.

---

Question: Among the records above, which one has the highest formation energy from the elements?
Answer: U2NiC3